Arrangement i

The following is a DFT calculation (PBE+U) of an optimized crystal structure of Na2W2O5. Values from VASP.

* space group: Ima2
* total magnetization: 0.000 μB/atom

```
&SYSTEM
  ibrav = 0, nat = 18, ntyp = 3
/
ATOMIC_SPECIES
Na 22.99 Na.upf
W 183.84 W.upf
O 16.00 O.upf
CELL_PARAMETERS angstrom
-7.881 2.848 2.840
7.881 -2.848 2.840
7.881 2.848 -2.840
ATOMIC_POSITIONS crystal
Na 0.022 0.108 0.130
Na 0.022 0.392 0.414
Na 0.978 0.608 0.586
Na 0.978 0.892 0.870
W 0.330 0.729 0.101
W 0.503 0.003 0.500
W 0.503 0.503 0.000
W 0.628 0.229 0.899
O 0.002 0.227 0.725
O 0.002 0.777 0.275
O 0.104 0.395 0.209
O 0.185 0.895 0.791
O 0.410 0.635 0.040
O 0.410 0.871 0.275
O 0.502 0.277 0.275
O 0.502 0.727 0.725
O 0.596 0.135 0.725
O 0.596 0.371 0.960
```

---

Arrangement ii

The following is a DFT calculation (PBE+U) of an optimized crystal structure of Na2W2O5. Values from VASP.

* space group: Ima2
* total magnetization: 0.444 μB/atom

```
&SYSTEM
  ibrav = 0, nat = 18, ntyp = 3
/
ATOMIC_SPECIES
Na 22.99 Na.upf
W 183.84 W.upf
O 16.00 O.upf
CELL_PARAMETERS angstrom
-7.467 2.907 2.859
7.467 -2.907 2.859
7.467 2.907 -2.859
ATOMIC_POSITIONS crystal
Na 0.030 0.104 0.133
Na 0.030 0.396 0.426
Na 0.970 0.604 0.574
Na 0.970 0.896 0.867
W 0.475 0.475 0.000
W 0.475 0.975 0.500
W 0.509 0.818 0.192
W 0.626 0.318 0.808
O 0.037 0.661 0.875
O 0.373 0.097 0.557
O 0.373 0.316 0.776
O 0.478 0.204 0.230
O 0.478 0.748 0.773
O 0.540 0.597 0.224
O 0.540 0.816 0.443
O 0.786 0.161 0.125
O 0.974 0.248 0.770
O 0.974 0.704 0.227
```

---

Energies relative to the minimum, meV/atom: arrangement i 21; arrangement ii 0

---

Arrangement i

The following is a DFT calculation (PBE+U) of an optimized crystal structure of Nb2NiO6. Values from VASP.

* space group: Pbcn

```
&SYSTEM
  ibrav = 0, nat = 36, ntyp = 3
/
ATOMIC_SPECIES
Nb 92.91 Nb.upf
Ni 58.69 Ni.upf
O 16.00 O.upf
CELL_PARAMETERS angstrom
14.272 0.000 0.000
0.000 5.795 0.000
0.000 0.000 5.082
ATOMIC_POSITIONS crystal
Nb 0.159 0.183 0.246
Nb 0.159 0.817 0.746
Nb 0.341 0.317 0.746
Nb 0.341 0.683 0.246
Nb 0.659 0.317 0.754
Nb 0.659 0.683 0.254
Nb 0.841 0.183 0.254
Nb 0.841 0.817 0.754
Ni 0.000 0.345 0.750
Ni 0.000 0.655 0.250
Ni 0.500 0.155 0.250
Ni 0.500 0.845 0.750
O 0.078 0.384 0.411
O 0.078 0.616 0.911
O 0.095 0.108 0.921
O 0.095 0.892 0.421
O 0.244 0.124 0.577
O 0.244 0.876 0.077
O 0.256 0.376 0.077
O 0.256 0.624 0.577
O 0.405 0.392 0.421
O 0.405 0.608 0.921
O 0.422 0.116 0.911
O 0.422 0.884 0.411
O 0.578 0.116 0.589
O 0.578 0.884 0.089
O 0.595 0.392 0.079
O 0.595 0.608 0.579
O 0.744 0.376 0.423
O 0.744 0.624 0.923
O 0.756 0.124 0.923
O 0.756 0.876 0.423
O 0.905 0.108 0.579
O 0.905 0.892 0.079
O 0.922 0.384 0.089
O 0.922 0.616 0.589
```

---

Arrangement ii

The following is a DFT calculation (PBE+U) of an optimized crystal structure of Nb2NiO6. Values from VASP.

* space group: C2/m
* total magnetization: 0.000 μB/atom

```
&SYSTEM
  ibrav = 0, nat = 18, ntyp = 3
/
ATOMIC_SPECIES
Nb 92.91 Nb.upf
Ni 58.69 Ni.upf
O 16.00 O.upf
CELL_PARAMETERS angstrom
4.601 -3.344 0.000
4.601 3.344 0.000
-2.897 0.000 6.910
ATOMIC_POSITIONS crystal
Nb 0.000 0.000 0.000
Nb 0.000 0.000 0.500
Nb 0.345 0.345 0.816
Nb 0.655 0.655 0.184
Ni 0.342 0.342 0.338
Ni 0.658 0.658 0.662
O 0.042 0.642 0.841
O 0.105 0.105 0.801
O 0.234 0.234 0.540
O 0.291 0.709 0.500
O 0.358 0.958 0.159
O 0.434 0.434 0.125
O 0.566 0.566 0.875
O 0.642 0.042 0.841
O 0.709 0.291 0.500
O 0.766 0.766 0.460
O 0.895 0.895 0.199
O 0.958 0.358 0.159
```

---

Arrangement iii

The following is a DFT calculation (PBE+U) of an optimized crystal structure of Nb2NiO6. Values from VASP.

* total magnetization: 0.000 μB/atom

```
&SYSTEM
  ibrav = 0, nat = 36, ntyp = 3
/
ATOMIC_SPECIES
Nb 92.91 Nb.upf
Ni 58.69 Ni.upf
O 16.00 O.upf
CELL_PARAMETERS angstrom
4.803 0.000 0.000
0.000 -4.803 9.194
0.000 -9.606 0.000
ATOMIC_POSITIONS crystal
Nb 0.000 0.998 0.001
Nb 0.000 0.998 0.501
Nb 0.000 0.335 0.332
Nb 0.000 0.335 0.832
Nb 0.500 0.835 0.832
Nb 0.500 0.835 0.332
Nb 0.500 0.498 0.001
Nb 0.500 0.498 0.501
Ni 0.000 0.667 0.167
Ni 0.500 0.167 0.167
Ni 0.000 0.667 0.667
Ni 0.500 0.167 0.667
O 0.191 0.167 0.012
O 0.191 0.167 0.512
O 0.309 0.667 0.012
O 0.309 0.667 0.512
O 0.691 0.667 0.821
O 0.691 0.667 0.321
O 0.809 0.167 0.321
O 0.809 0.167 0.821
O 0.202 0.840 0.681
O 0.202 0.840 0.181
O 0.202 0.493 0.854
O 0.202 0.493 0.354
O 0.298 0.993 0.854
O 0.298 0.993 0.354
O 0.298 0.340 0.181
O 0.298 0.340 0.681
O 0.702 0.993 0.652
O 0.702 0.993 0.152
O 0.702 0.340 0.979
O 0.702 0.340 0.479
O 0.798 0.840 0.979
O 0.798 0.840 0.479
O 0.798 0.493 0.152
O 0.798 0.493 0.652
```

---

Energies relative to the minimum, meV/atom: arrangement i 0; arrangement ii 64; arrangement iii 33